# 1
A geometry-optimized FeSi4P4 structure, computed with GGA-PBE.

a = 4.8925 Å, b = 5.5602 Å, c = 6.0890 Å
α = 85.39°, β = 68.39°, γ = 70.46°
Fractional positions:
Fe: 0.0000 0.0000 0.0000
Si: 0.2393 0.3374 0.4305
Si: 0.3442 0.5986 0.8860
Si: 0.6807 0.7768 0.2162
Si: 0.8470 0.9712 0.6973
P: 0.1561 0.0091 0.3081
P: 0.3282 0.2172 0.7694
P: 0.6361 0.3982 0.1163
P: 0.7624 0.6406 0.5646

Values from the calculation:
As for the space-group type: No. 1. The largest piezoelectric modulus comes out at 0.18 C/m².


# 2
A geometry-optimized Sm2Fe12P7 structure, computed with GGA-PBE.

a = 9.0249 Å, b = 9.0249 Å, c = 3.6591 Å
α = 90.00°, β = 90.00°, γ = 120.00°
Fractional positions:
Sm: 0.0000 0.0000 0.0000
Sm: 0.3333 0.6667 0.5000
Fe: 0.0490 0.2849 0.5000
Fe: 0.0933 0.7053 0.0000
Fe: 0.2359 0.9510 0.5000
Fe: 0.2947 0.3881 0.0000
Fe: 0.3931 0.1804 0.0000
Fe: 0.5472 0.4312 0.5000
Fe: 0.5688 0.1160 0.5000
Fe: 0.6119 0.9067 0.0000
Fe: 0.7151 0.7641 0.5000
Fe: 0.7874 0.6069 0.0000
Fe: 0.8196 0.2126 0.0000
Fe: 0.8840 0.4528 0.5000
P: 0.0730 0.4432 0.0000
P: 0.2692 0.2250 0.5000
P: 0.3703 0.9270 0.0000
P: 0.5568 0.6298 0.0000
P: 0.6667 0.3333 0.0000
P: 0.7750 0.0442 0.5000
P: 0.9558 0.7308 0.5000

Values from the calculation:
As for the space-group type: No. 174. The value obtained for the total magnetization is 1.510 Bohr magnetons per cell.


# 3
A geometry-optimized SmFeP structure, computed with GGA-PBE.

a = 3.8239 Å, b = 3.8239 Å, c = 7.4274 Å
α = 90.00°, β = 90.00°, γ = 90.00°
Fractional positions:
Sm: 0.2500 0.2500 0.1887
Sm: 0.7500 0.7500 0.8113
Fe: 0.2500 0.7500 0.5000
Fe: 0.7500 0.2500 0.5000
P: 0.2500 0.2500 0.6594
P: 0.7500 0.7500 0.3406

Values from the calculation:
As for the space-group type: No. 129. The value obtained for the total magnetization is 0.000 Bohr magnetons per cell.


# 4
A geometry-optimized Ta4FeP structure, computed with GGA-PBE.

a = 6.1075 Å, b = 6.1075 Å, c = 5.0959 Å
α = 90.00°, β = 90.00°, γ = 90.00°
Fractional positions:
Ta: 0.1575 0.3304 0.0000
Ta: 0.1575 0.6696 0.5000
Ta: 0.3304 0.1575 0.5000
Ta: 0.3304 0.8425 0.0000
Ta: 0.6696 0.1575 0.0000
Ta: 0.6696 0.8425 0.5000
Ta: 0.8425 0.3304 0.5000
Ta: 0.8425 0.6696 0.0000
Fe: 0.0000 0.0000 0.2500
Fe: 0.0000 0.0000 0.7500
P: 0.5000 0.5000 0.2500
P: 0.5000 0.5000 0.7500

Values from the calculation:
As for the space-group type: No. 124. The value obtained for the total magnetization is 0.002 Bohr magnetons per cell.


# 5
A geometry-optimized TbFe5P3 structure, computed with GGA-PBE.

a = 11.8294 Å, b = 3.6577 Å, c = 10.3236 Å
α = 90.00°, β = 90.00°, γ = 90.00°
Fractional positions:
Tb: 0.2043 0.2500 0.0814
Tb: 0.2957 0.7500 0.5814
Tb: 0.7043 0.2500 0.4186
Tb: 0.7957 0.7500 0.9186
Fe: 0.0097 0.7500 0.0951
Fe: 0.0121 0.7500 0.7060
Fe: 0.0668 0.7500 0.4638
Fe: 0.1761 0.2500 0.7807
Fe: 0.2002 0.2500 0.3772
Fe: 0.2998 0.7500 0.8772
Fe: 0.3239 0.7500 0.2807
Fe: 0.4332 0.2500 0.9638
Fe: 0.4879 0.2500 0.2060
Fe: 0.4903 0.2500 0.5951
Fe: 0.5097 0.7500 0.4049
Fe: 0.5121 0.7500 0.7940
Fe: 0.5668 0.7500 0.0362
Fe: 0.6761 0.2500 0.7193
Fe: 0.7002 0.2500 0.1228
Fe: 0.7998 0.7500 0.6228
Fe: 0.8239 0.7500 0.2193
Fe: 0.9332 0.2500 0.5362
Fe: 0.9879 0.2500 0.2940
Fe: 0.9903 0.2500 0.9049
P: 0.1041 0.7500 0.8978
P: 0.1126 0.2500 0.5791
P: 0.1286 0.7500 0.2671
P: 0.3714 0.2500 0.7671
P: 0.3874 0.7500 0.0791
P: 0.3959 0.2500 0.3978
P: 0.6041 0.7500 0.6022
P: 0.6126 0.2500 0.9209
P: 0.6286 0.7500 0.2329
P: 0.8714 0.2500 0.7329
P: 0.8874 0.7500 0.4209
P: 0.8959 0.2500 0.1022

Values from the calculation:
As for the space-group type: No. 62. The value obtained for the total magnetization is 6.407 Bohr magnetons per cell.


# 6
A geometry-optimized Tb2Fe12P7 structure, computed with GGA-PBE.

a = 8.9658 Å, b = 3.6373 Å, c = 8.9728 Å
α = 90.00°, β = 119.95°, γ = 90.00°
Fractional positions:
Tb: 0.0000 0.0000 0.0000
Tb: 0.3333 0.5000 0.6668
Fe: 0.0395 0.5000 0.2784
Fe: 0.0980 0.0000 0.7167
Fe: 0.2390 0.5000 0.9609
Fe: 0.2833 0.0000 0.3816
Fe: 0.4493 0.0000 0.2130
Fe: 0.5115 0.5000 0.4528
Fe: 0.5474 0.5000 0.0591
Fe: 0.6184 0.0000 0.9023
Fe: 0.7218 0.5000 0.7613
Fe: 0.7635 0.0000 0.5508
Fe: 0.7869 0.0000 0.2366
Fe: 0.9407 0.5000 0.4881
P: 0.0673 0.0000 0.4447
P: 0.2579 0.5000 0.2204
P: 0.3766 0.0000 0.9327
P: 0.5557 0.0000 0.6234
P: 0.6666 0.5000 0.3335
P: 0.7799 0.5000 0.0377
P: 0.9625 0.5000 0.7424

Values from the calculation:
As for the space-group type: No. 6. The value obtained for the total magnetization is 1.230 Bohr magnetons per cell.


# 7
A geometry-optimized Th5Fe19P12 structure, computed with GGA-PBE.

a = 14.5424 Å, b = 14.5424 Å, c = 9.2221 Å
α = 102.89°, β = 102.89°, γ = 14.86°
Fractional positions:
Th: 0.0000 0.0000 0.0000
Th: 0.0819 0.0819 0.6914
Th: 0.3229 0.3229 0.7249
Th: 0.6771 0.6771 0.2751
Th: 0.9181 0.9181 0.3086
Fe: 0.0271 0.0271 0.3568
Fe: 0.1160 0.1160 0.3901
Fe: 0.1572 0.1572 0.9932
Fe: 0.2057 0.2057 0.7799
Fe: 0.2584 0.2584 0.3996
Fe: 0.2799 0.2799 0.9943
Fe: 0.3466 0.3466 0.4022
Fe: 0.4117 0.4117 0.0443
Fe: 0.4338 0.4338 0.7926
Fe: 0.5000 0.5000 0.5000
Fe: 0.5662 0.5662 0.2074
Fe: 0.5883 0.5883 0.9557
Fe: 0.6534 0.6534 0.5978
Fe: 0.7201 0.7201 0.0057
Fe: 0.7416 0.7416 0.6004
Fe: 0.7943 0.7943 0.2201
Fe: 0.8428 0.8428 0.0068
Fe: 0.8840 0.8840 0.6099
Fe: 0.9729 0.9729 0.6432
P: 0.1014 0.1014 0.1271
P: 0.1951 0.1951 0.5301
P: 0.2334 0.2334 0.1475
P: 0.3467 0.3467 0.1550
P: 0.4190 0.4190 0.5503
P: 0.4869 0.4869 0.2306
P: 0.5131 0.5131 0.7694
P: 0.5810 0.5810 0.4497
P: 0.6533 0.6533 0.8450
P: 0.7666 0.7666 0.8525
P: 0.8049 0.8049 0.4699
P: 0.8986 0.8986 0.8729

Values from the calculation:
As for the space-group type: No. 12. The value obtained for the total magnetization is 9.626 Bohr magnetons per cell.


# 8
A geometry-optimized ThFe5P3 structure, computed with GGA-PBE.

a = 11.9103 Å, b = 3.7263 Å, c = 10.4168 Å
α = 90.00°, β = 90.00°, γ = 90.00°
Fractional positions:
Th: 0.2033 0.2500 0.0808
Th: 0.2967 0.7500 0.5808
Th: 0.7033 0.2500 0.4192
Th: 0.7967 0.7500 0.9192
Fe: 0.0108 0.7500 0.0965
Fe: 0.0114 0.7500 0.7057
Fe: 0.0667 0.7500 0.4658
Fe: 0.1741 0.2500 0.7780
Fe: 0.1995 0.2500 0.3792
Fe: 0.3005 0.7500 0.8792
Fe: 0.3259 0.7500 0.2780
Fe: 0.4333 0.2500 0.9658
Fe: 0.4886 0.2500 0.2057
Fe: 0.4892 0.2500 0.5965
Fe: 0.5108 0.7500 0.4035
Fe: 0.5114 0.7500 0.7943
Fe: 0.5667 0.7500 0.0342
Fe: 0.6741 0.2500 0.7220
Fe: 0.6995 0.2500 0.1208
Fe: 0.8005 0.7500 0.6208
Fe: 0.8259 0.7500 0.2220
Fe: 0.9333 0.2500 0.5342
Fe: 0.9886 0.2500 0.2943
Fe: 0.9892 0.2500 0.9035
P: 0.1036 0.7500 0.8925
P: 0.1095 0.2500 0.5774
P: 0.1310 0.7500 0.2744
P: 0.3690 0.2500 0.7744
P: 0.3905 0.7500 0.0774
P: 0.3964 0.2500 0.3925
P: 0.6036 0.7500 0.6075
P: 0.6095 0.2500 0.9226
P: 0.6310 0.7500 0.2256
P: 0.8690 0.2500 0.7256
P: 0.8905 0.7500 0.4226
P: 0.8964 0.2500 0.1075

Values from the calculation:
As for the space-group type: No. 62. The value obtained for the total magnetization is 3.148 Bohr magnetons per cell.


# 9
A geometry-optimized TiFeP structure, computed with GGA-PBE.

a = 6.0023 Å, b = 3.6176 Å, c = 6.7950 Å
α = 90.00°, β = 90.00°, γ = 90.00°
Fractional positions:
Ti: 0.0205 0.2500 0.1828
Ti: 0.4795 0.7500 0.6828
Ti: 0.5205 0.2500 0.3172
Ti: 0.9795 0.7500 0.8172
Fe: 0.1490 0.2500 0.5625
Fe: 0.3510 0.7500 0.0625
Fe: 0.6490 0.2500 0.9375
Fe: 0.8510 0.7500 0.4375
P: 0.2241 0.7500 0.3806
P: 0.2759 0.2500 0.8806
P: 0.7241 0.7500 0.1194
P: 0.7759 0.2500 0.6194

Values from the calculation:
As for the space-group type: No. 62.


Number 1: ΔE_f -0.283 eV/atom. Number 2: ΔE_f -0.672 eV/atom. Number 3: ΔE_f -0.954 eV/atom. Number 4: ΔE_f -0.407 eV/atom. Number 5: ΔE_f -0.735 eV/atom. Number 6: ΔE_f -0.702 eV/atom. Number 7: ΔE_f -0.745 eV/atom. Number 8: ΔE_f -0.714 eV/atom. Number 9: ΔE_f -1.064 eV/atom.